# 1
# PuMg3 (PBE, optimized geometry)
# Calculated formation energy in kJ/mol of formula units: 48
# Total moment in μB per cell: 22.7
# Calculated total energy in eV/f.u.: -18.6
data_PuMg3
_space_group_name_H-M_alt 'F m -3 m'
_space_group_IT_number 225
_space_group_name_Hall '-F 4 2 3'
_cell_length_a 7.199
_cell_length_b 7.199
_cell_length_c 7.199
_cell_angle_alpha 90.00
_cell_angle_beta 90.00
_cell_angle_gamma 90.00
loop_
_atom_site_label
_atom_site_fract_x
_atom_site_fract_y
_atom_site_fract_z
Pu1 0.000 0.000 0.000
Mg1 0.000 0.000 0.500
Mg2 0.250 0.250 0.250

# 2
# Pu3Mg (PBE, optimized geometry)
# Calculated formation energy in kJ/mol of formula units: 82
# Total moment in μB per cell: 36.0
# Calculated total energy in eV/f.u.: -43.6
data_Pu3Mg
_space_group_name_H-M_alt 'P 63/m m c'
_space_group_IT_number 194
_space_group_name_Hall '-P 6c 2c'
_cell_length_a 6.7103
_cell_length_b 6.7103
_cell_length_c 5.3826
_cell_angle_alpha 90.00
_cell_angle_beta 90.00
_cell_angle_gamma 120.00
loop_
_atom_site_label
_atom_site_fract_x
_atom_site_fract_y
_atom_site_fract_z
Pu1 0.1680 0.3361 0.2500
Mg1 0.3333 0.6667 0.7500

# 3
# Rb3Mg (PBE, optimized geometry)
# Calculated formation energy in kJ/mol of formula units: 66
# Total moment in μB per cell: 0.0
# Calculated total energy in eV/f.u.: -3.9
data_Rb3Mg
_space_group_name_H-M_alt 'I m m 2'
_space_group_IT_number 44
_cell_length_a 5.035
_cell_length_b 14.565
_cell_length_c 7.422
_cell_angle_alpha 90.00
_cell_angle_beta 90.00
_cell_angle_gamma 90.00
loop_
_space_group_symop_operation_xyz
'x,y,z'
'-x,-y,z'
'-x,y,z'
'x,-y,z'
'x+1/2,y+1/2,z+1/2'
'-x+1/2,-y+1/2,z+1/2'
'-x+1/2,y+1/2,z+1/2'
'x+1/2,-y+1/2,z+1/2'
loop_
_atom_site_label
_atom_site_fract_x
_atom_site_fract_y
_atom_site_fract_z
Rb1 0.000 0.000 0.000
Rb2 0.000 0.209 0.540
Mg1 0.000 0.500 0.949

# 4
# Rb2Mg (PBE, optimized geometry)
# Calculated formation energy in kJ/mol of formula units: 49
# Total moment in μB per cell: 0.0
# Calculated total energy in eV/f.u.: -3.1
# Polymorph energy (0 for the lowest one) in eV/atom: 0.000
data_Rb2Mg
_space_group_name_H-M_alt 'I 4/m c m'
_space_group_IT_number 140
_space_group_name_Hall '-I 4 2c'
_cell_length_a 10.005
_cell_length_b 10.005
_cell_length_c 7.163
_cell_angle_alpha 90.00
_cell_angle_beta 90.00
_cell_angle_gamma 90.00
loop_
_atom_site_label
_atom_site_fract_x
_atom_site_fract_y
_atom_site_fract_z
Rb1 0.166 0.334 0.000
Mg1 0.000 0.000 0.250

# 5
# Rb2Mg (PBE, optimized geometry)
# Calculated formation energy in kJ/mol of formula units: 63
# Total moment in μB per cell: 0.7
# Calculated total energy in eV/f.u.: -2.9
# Polymorph energy (0 for the lowest one) in eV/atom: 0.050
data_Rb2Mg
_space_group_name_H-M_alt 'C 1 2/m 1'
_space_group_IT_number 12
_cell_length_a 19.427
_cell_length_b 4.453
_cell_length_c 8.981
_cell_angle_alpha 90.00
_cell_angle_beta 104.99
_cell_angle_gamma 90.00
loop_
_space_group_symop_operation_xyz
'x,y,z'
'-x,-y,-z'
'-x,y,-z'
'x,-y,z'
'x+1/2,y+1/2,z'
'-x+1/2,-y+1/2,-z'
'-x+1/2,y+1/2,-z'
'x+1/2,-y+1/2,z'
loop_
_atom_site_label
_atom_site_fract_x
_atom_site_fract_y
_atom_site_fract_z
Rb1 0.119 0.000 0.062
Rb2 0.157 0.000 0.593
Mg1 0.002 0.500 0.324

# 6
# Rb3Mg (PBE, optimized geometry)
# Calculated formation energy in kJ/mol of formula units: 68
# Total moment in μB per cell: 0.0
# Calculated total energy in eV/f.u.: -3.8
data_Rb3Mg
_space_group_name_H-M_alt 'P 63/m m c'
_space_group_IT_number 194
_space_group_name_Hall '-P 6c 2c'
_cell_length_a 9.2263
_cell_length_b 9.2263
_cell_length_c 7.0528
_cell_angle_alpha 90.00
_cell_angle_beta 90.00
_cell_angle_gamma 120.00
loop_
_atom_site_label
_atom_site_fract_x
_atom_site_fract_y
_atom_site_fract_z
Rb1 0.1768 0.3537 0.2500
Mg1 0.3333 0.6667 0.7500

# 7
# RbMg15 (PBE, optimized geometry)
# Calculated formation energy in kJ/mol of formula units: 217
# Total moment in μB per cell: 0.0
# Calculated total energy in eV/f.u.: -22.7
data_RbMg15
_space_group_name_H-M_alt 'P -6 m 2'
_space_group_IT_number 187
_space_group_name_Hall 'P -6 2'
_cell_length_a 6.6286
_cell_length_b 6.6286
_cell_length_c 10.6203
_cell_angle_alpha 90.00
_cell_angle_beta 90.00
_cell_angle_gamma 120.00
loop_
_atom_site_label
_atom_site_fract_x
_atom_site_fract_y
_atom_site_fract_z
Rb1 0.0000 0.0000 0.0000
Mg1 0.0000 0.0000 0.5000
Mg2 0.0076 0.5038 0.0000
Mg3 0.1722 0.3445 0.2649
Mg4 0.5013 0.0025 0.5000
Mg5 0.6667 0.3333 0.2467

# 8
# Rb3Mg (PBE, optimized geometry)
# Calculated formation energy in kJ/mol of formula units: 73
# Total moment in μB per cell: 0.0
# Calculated total energy in eV/f.u.: -3.8
data_Rb3Mg
_space_group_name_H-M_alt 'I 4/m m m'
_space_group_IT_number 139
_space_group_name_Hall '-I 4 2'
_cell_length_a 6.455
_cell_length_b 6.455
_cell_length_c 12.375
_cell_angle_alpha 90.00
_cell_angle_beta 90.00
_cell_angle_gamma 90.00
loop_
_atom_site_label
_atom_site_fract_x
_atom_site_fract_y
_atom_site_fract_z
Rb1 0.000 0.000 0.000
Rb2 0.000 0.500 0.250
Mg1 0.000 0.000 0.500

# 9
# Rb3Mg (PBE, optimized geometry)
# Calculated formation energy in kJ/mol of formula units: 68
# Total moment in μB per cell: 0.1
# Calculated total energy in eV/f.u.: -3.8
data_Rb3Mg
_space_group_name_H-M_alt 'F m -3 m'
_space_group_IT_number 225
_space_group_name_Hall '-F 4 2 3'
_cell_length_a 10.158
_cell_length_b 10.158
_cell_length_c 10.158
_cell_angle_alpha 90.00
_cell_angle_beta 90.00
_cell_angle_gamma 90.00
loop_
_atom_site_label
_atom_site_fract_x
_atom_site_fract_y
_atom_site_fract_z
Rb1 0.000 0.000 0.000
Rb2 0.250 0.250 0.250
Mg1 0.000 0.000 0.500

# 10
# Rb2Mg (PBE, optimized geometry)
# Calculated formation energy in kJ/mol of formula units: 56
# Total moment in μB per cell: 0.0
# Calculated total energy in eV/f.u.: -3.0
# Polymorph energy (0 for the lowest one) in eV/atom: 0.025
data_Rb2Mg
_space_group_name_H-M_alt 'C 1 2/m 1'
_space_group_IT_number 12
_cell_length_a 15.393
_cell_length_b 4.647
_cell_length_c 11.187
_cell_angle_alpha 90.00
_cell_angle_beta 112.01
_cell_angle_gamma 90.00
loop_
_space_group_symop_operation_xyz
'x,y,z'
'-x,-y,-z'
'-x,y,-z'
'x,-y,z'
'x+1/2,y+1/2,z'
'-x+1/2,-y+1/2,-z'
'-x+1/2,y+1/2,-z'
'x+1/2,-y+1/2,z'
loop_
_atom_site_label
_atom_site_fract_x
_atom_site_fract_y
_atom_site_fract_z
Rb1 0.018 0.000 0.191
Rb2 0.170 0.500 0.637
Mg1 0.202 0.500 0.043

# 11
# Rb2Mg (PBE, optimized geometry)
# Calculated formation energy in kJ/mol of formula units: 53
# Total moment in μB per cell: 0.0
# Calculated total energy in eV/f.u.: -3.0
# Polymorph energy (0 for the lowest one) in eV/atom: 0.013
data_Rb2Mg
_space_group_name_H-M_alt 'C m c m'
_space_group_IT_number 63
_space_group_name_Hall '-C 2c 2'
_cell_length_a 17.838
_cell_length_b 8.106
_cell_length_c 5.618
_cell_angle_alpha 90.00
_cell_angle_beta 90.00
_cell_angle_gamma 90.00
loop_
_atom_site_label
_atom_site_fract_x
_atom_site_fract_y
_atom_site_fract_z
Rb1 0.138 0.230 0.250
Mg1 0.000 0.409 0.750

# 12
# RbMg6Sb (PBE, optimized geometry)
# Calculated formation energy in kJ/mol of formula units: 89
# Total moment in μB per cell: 0.0
# Calculated total energy in eV/f.u.: -13.6
# Polymorph energy (0 for the lowest one) in eV/atom: 0.094
data_RbMg6Sb
_space_group_name_H-M_alt 'A m m 2'
_space_group_IT_number 38
_cell_length_a 5.301
_cell_length_b 6.767
_cell_length_c 12.119
_cell_angle_alpha 90.00
_cell_angle_beta 90.00
_cell_angle_gamma 90.00
loop_
_space_group_symop_operation_xyz
'x,y,z'
'-x,-y,z'
'-x,y,z'
'x,-y,z'
'x,y+1/2,z+1/2'
'-x,-y+1/2,z+1/2'
'-x,y+1/2,z+1/2'
'x,-y+1/2,z+1/2'
loop_
_atom_site_label
_atom_site_fract_x
_atom_site_fract_y
_atom_site_fract_z
Rb1 0.000 0.000 0.000
Mg1 0.000 0.247 0.249
Mg2 0.500 0.000 0.176
Mg3 0.500 0.000 0.668
Mg4 0.500 0.237 0.410
Sb1 0.000 0.000 0.495

Q: Among the records above, which one has the lowest calculated formation energy?
A: PuMg3

Q: Which formula does entry 2 have?
A: Pu3Mg

Q: total moment of number 11 (Rb2Mg)?
A: 0.0 μB per cell

Q: Which of these has the highest calculated formation energy?
A: RbMg15